Record 1
Below is a geometry-optimized CeGa4Os structure, with properties calculated at the PBE-GGA level.

Uncorrected energy in eV/atom: -5.34

Structure (CIF):
```
data_CeGa4Os
_chemical_formula_sum 'Ce6 Ga24 Os6'
_space_group_name_H-M_alt 'P m m a'
_space_group_IT_number 51
_space_group_name_Hall '-P 2a 2a'
_cell_length_a 9.545
_cell_length_b 8.884
_cell_length_c 7.697
_cell_angle_alpha 90.00
_cell_angle_beta 90.00
_cell_angle_gamma 90.00
loop_
_atom_site_label
_atom_site_fract_x
_atom_site_fract_y
_atom_site_fract_z
_atom_site_occupancy
Ce1 0.250 0.000 0.177 1
Ce2 0.250 0.254 0.663 1
Ga1 0.000 0.000 0.500 1
Ga2 0.064 0.500 0.838 1
Ga3 0.079 0.261 0.322 1
Ga4 0.090 0.000 0.844 1
Ga5 0.250 0.343 0.046 1
Ga6 0.250 0.500 0.370 1
Os1 0.000 0.240 0.000 1
Os2 0.000 0.500 0.500 1
```

=====

Record 2
Below is a geometry-optimized Ce2Ga10Pd structure, with properties calculated at the PBE-GGA level.

Uncorrected energy in eV/atom: -4.11
Total magnetic moment in Bohr magnetons per cell: 3.93

Structure (CIF):
```
data_Ce2Ga10Pd
_chemical_formula_sum 'Ce4 Ga20 Pd2'
_space_group_name_H-M_alt 'I 4/m m m'
_space_group_IT_number 139
_space_group_name_Hall '-I 4 2'
_cell_length_a 4.420
_cell_length_b 4.420
_cell_length_c 26.176
_cell_angle_alpha 90.00
_cell_angle_beta 90.00
_cell_angle_gamma 90.00
loop_
_atom_site_label
_atom_site_fract_x
_atom_site_fract_y
_atom_site_fract_z
_atom_site_occupancy
Ce1 0.000 0.000 0.144 1
Ga1 0.000 0.000 0.302 1
Ga2 0.000 0.000 0.395 1
Ga3 0.000 0.500 0.052 1
Ga4 0.000 0.500 0.250 1
Pd1 0.000 0.000 0.000 1
```

=====

Record 3
Below is a geometry-optimized CeGa6Pd structure, with properties calculated at the PBE-GGA level.

Uncorrected energy in eV/atom: -4.14

Structure (CIF):
```
data_CeGa6Pd
_chemical_formula_sum 'Ce1 Ga6 Pd1'
_space_group_name_H-M_alt 'P 4/m m m'
_space_group_IT_number 123
_space_group_name_Hall '-P 4 2'
_cell_length_a 4.455
_cell_length_b 4.455
_cell_length_c 7.895
_cell_angle_alpha 90.00
_cell_angle_beta 90.00
_cell_angle_gamma 90.00
loop_
_atom_site_label
_atom_site_fract_x
_atom_site_fract_y
_atom_site_fract_z
_atom_site_occupancy
Ce1 0.000 0.000 0.000 1
Ga1 0.000 0.500 0.326 1
Ga2 0.500 0.500 0.152 1
Pd1 0.000 0.000 0.500 1
```

=====

Record 4
Below is a geometry-optimized CeGa8Pd3 structure, with properties calculated at the PBE-GGA level.

Uncorrected energy in eV/atom: -4.36
Total magnetic moment in Bohr magnetons per cell: 7.04

Structure (CIF):
```
data_CeGa8Pd3
_chemical_formula_sum 'Ce9 Ga72 Pd27'
_space_group_name_H-M_alt 'R -3 m'
_space_group_IT_number 166
_space_group_name_Hall '-R 3 2"'
_cell_length_a 12.0296
_cell_length_b 12.0296
_cell_length_c 14.8139
_cell_angle_alpha 90.00
_cell_angle_beta 90.00
_cell_angle_gamma 120.00
loop_
_atom_site_label
_atom_site_fract_x
_atom_site_fract_y
_atom_site_fract_z
_atom_site_occupancy
Ce1 0.0000 0.5000 0.0000 1
Ga1 0.0000 0.2386 0.0000 1
Ga2 0.0823 0.1646 0.1500 1
Ga3 0.1006 0.2012 0.5599 1
Ga4 0.1022 0.5511 0.4088 1
Pd1 0.0000 0.0000 0.0000 1
Pd2 0.0000 0.0000 0.3374 1
Pd3 0.0000 0.3363 0.5000 1
```

=====

Record 5
Below is a geometry-optimized CeGaPd structure, with properties calculated at the PBE-GGA level.

Uncorrected energy in eV/atom: -5.51

Structure (CIF):
```
data_CeGaPd
_chemical_formula_sum 'Ce4 Ga4 Pd4'
_space_group_name_H-M_alt 'P n m a'
_space_group_IT_number 62
_space_group_name_Hall '-P 2ac 2n'
_cell_length_a 7.081
_cell_length_b 4.500
_cell_length_c 7.839
_cell_angle_alpha 90.00
_cell_angle_beta 90.00
_cell_angle_gamma 90.00
loop_
_atom_site_label
_atom_site_fract_x
_atom_site_fract_y
_atom_site_fract_z
_atom_site_occupancy
Ce1 0.018 0.250 0.203 1
Ga1 0.176 0.250 0.579 1
Pd1 0.220 0.750 0.407 1
```

=====

Record 6
Below is a geometry-optimized Ce8GaPd24 structure, with properties calculated at the PBE-GGA level.

Uncorrected energy in eV/atom: -6.10
Total magnetic moment in Bohr magnetons per cell: 6.31

Structure (CIF):
```
data_Ce8GaPd24
_chemical_formula_sum 'Ce8 Ga1 Pd24'
_space_group_name_H-M_alt 'P m -3 m'
_space_group_IT_number 221
_space_group_name_Hall '-P 4 2 3'
_cell_length_a 8.453
_cell_length_b 8.453
_cell_length_c 8.453
_cell_angle_alpha 90.00
_cell_angle_beta 90.00
_cell_angle_gamma 90.00
loop_
_atom_site_label
_atom_site_fract_x
_atom_site_fract_y
_atom_site_fract_z
_atom_site_occupancy
Ce1 0.249 0.249 0.249 1
Ga1 0.500 0.500 0.500 1
Pd1 0.000 0.000 0.246 1
Pd2 0.000 0.240 0.500 1
Pd3 0.207 0.500 0.500 1
```

=====

Q: Among the records above, which one has the lowest uncorrected energy?
A: Ce8GaPd24